[1]
Density functional theory data (PBE) for a geometry-optimized In2O3 structure.

Structure (extended XYZ):
```
40
Lattice="-5.1498 5.1498 5.1498 5.1498 -5.1498 5.1498 5.1498 5.1498 -5.1498" Properties=species:S:1:pos:R:3 pbc="T T T"
In 5.1498 -2.5749 4.8053
In 0.3445 5.1498 2.5749
In -2.5749 4.8053 5.1498
In 4.8053 5.1498 -2.5749
In -2.5749 2.5749 2.5749
In 2.5749 2.5749 -2.5749
In 2.5749 0.3445 5.1498
In 0.0000 2.5749 4.8053
In 2.5749 4.8053 0.0000
In 0.3445 0.0000 7.7247
In 7.7247 0.3445 0.0000
In 2.5749 -2.5749 2.5749
In 4.8053 0.0000 2.5749
In 0.0000 7.7247 0.3445
In 5.1498 2.5749 0.3445
In 2.5749 2.5749 2.5749
O 1.5878 1.2153 -1.1331
O 6.3651 -1.1331 3.5620
O 1.2153 -1.1331 1.5878
O 1.2153 1.1331 3.5620
O -1.2153 4.0167 3.5620
O 4.0167 3.5620 -1.2153
O -1.1331 3.5620 6.3651
O 3.5620 6.3651 -1.1331
O 1.5878 -1.2153 6.2829
O 1.5878 6.3651 1.1331
O 1.5878 3.9345 4.0167
O 3.9345 6.2829 3.5620
O 1.1331 1.5878 6.3651
O 6.2829 3.5620 3.9345
O 1.1331 3.5620 1.2153
O 3.5620 -1.2153 4.0167
O 4.0167 1.5878 3.9345
O 3.5620 3.9345 6.2829
O 6.3651 1.1331 1.5878
O 6.2829 1.5878 -1.2153
O 3.5620 1.2153 1.1331
O -1.1331 1.5878 1.2153
O -1.2153 6.2829 1.5878
O 3.9345 4.0167 1.5878
```

For the energy of formation from the pure elements, the calculation gives -1997 meV/atom. The volume is 13.7 Å³ per atom. The value obtained for the total energy is -5.65 eV per atom.



[2]
Density functional theory data (PBE) for a geometry-optimized Ti2P3O12 structure.

Structure (extended XYZ):
```
34
Lattice="7.5043 -4.3563 0.0000 7.5043 4.3563 0.0000 4.9753 0.0000 7.1090" Properties=species:S:1:pos:R:3 pbc="T T T"
O 10.6999 -2.7671 6.7001
O 6.6250 -0.8798 0.9467
O 11.2674 3.7447 5.1048
O 8.7798 0.6116 1.5504
O 11.2041 -0.6116 5.5586
O 15.6937 0.7106 7.0965
O 16.2044 -1.5904 5.6608
O 13.7714 -1.5904 5.0026
O 14.2821 0.7106 3.5669
O 8.7164 -3.7447 2.0041
O 16.6169 0.8798 4.5012
O 12.8738 -0.9776 0.5893
O 3.7794 1.5904 1.4481
O 7.1101 0.9776 6.5197
O 3.3669 -0.8798 2.6078
O 9.2839 2.7671 0.4088
O 8.2123 -1.5892 3.1456
O 6.2125 1.5904 2.1063
O 13.3588 0.8798 6.1623
O 12.1266 -0.9776 2.9652
O 4.2902 -0.7106 0.0124
O 11.7716 1.5892 3.9633
O 7.8572 0.9776 4.1437
O 5.7018 -0.7106 3.5421
Ti 7.2683 0.0000 2.5856
Ti 2.7237 0.0000 0.9689
Ti 17.2602 0.0000 6.1401
Ti 12.7156 0.0000 4.5234
P 9.2963 1.2338 0.2362
P 7.4836 1.8886 5.3317
P 11.7840 3.1225 3.7907
P 12.5002 -1.8886 1.7772
P 10.6876 -1.2338 6.8727
P 8.1999 -3.1225 3.3182
```

For the energy of formation from the pure elements, the calculation gives -2910 meV/atom. The volume is 13.7 Å³ per atom. The value obtained for the total energy is -7.80 eV per atom.



[3]
Density functional theory data (PBE) for a geometry-optimized CeAl2Ga2 structure.

Structure (extended XYZ):
```
5
Lattice="-2.2204 3.5981 4.7413 -3.1685 5.4468 -0.8057 0.1390 -6.0182 -2.0295" Properties=species:S:1:pos:R:3 pbc="T T T"
Al -2.8620 1.9756 -0.4337
Al -2.3880 1.0512 2.3398
Ga -3.2942 5.5290 2.4058
Ga -2.0948 3.5159 1.5299
Ce 0.0000 0.0000 0.0000
```

For the energy of formation from the pure elements, the calculation gives -430 meV/atom. The volume is 19.7 Å³ per atom. The value obtained for the total energy is -4.33 eV per atom.



[4]
Density functional theory data (PBE) for a geometry-optimized Ho3Ga2 structure.

Structure (extended XYZ):
```
40
Lattice="-5.7851 5.7851 7.4270 5.7851 -5.7851 7.4270 5.7851 5.7851 -7.4270" Properties=species:S:1:pos:R:3 pbc="T T T"
Ho 3.8344 1.9507 0.0000
Ho 3.4324 5.0054 2.0221
Ho 3.4324 5.0054 -2.0221
Ho 9.2174 0.7797 2.0221
Ho 1.9507 3.8344 7.4270
Ho 0.7797 2.3527 2.0221
Ho 2.3527 -0.7797 2.0221
Ho 1.9507 7.7358 0.0000
Ho 6.5648 3.4324 2.0221
Ho -0.7797 9.2174 2.0221
Ho 3.8344 -1.9507 7.4270
Ho 6.5648 3.4324 -2.0221
Ho -0.7797 2.3527 5.4049
Ho 2.3527 0.7797 5.4049
Ho 3.4324 6.5648 5.4049
Ho -0.7797 2.3527 9.4492
Ho 0.0000 5.7851 5.2402
Ho 6.5648 -3.4324 5.4049
Ho 0.0000 5.7851 2.1869
Ho -3.4324 5.0054 5.4049
Ho 5.7851 0.0000 2.1869
Ho 5.7851 0.0000 5.2402
Ho 5.0054 3.4324 5.4049
Ho 2.3527 0.7797 9.4492
Ga -2.0567 7.8417 4.4446
Ga 0.0000 0.0000 11.1406
Ga 7.8417 -2.0567 2.9825
Ga 3.7284 2.0567 2.9825
Ga 1.3495 4.4356 0.0000
Ga 3.7284 -2.0567 4.4446
Ga 7.8417 2.0567 4.4446
Ga -2.0567 3.7284 2.9825
Ga 2.0567 7.8417 2.9825
Ga 4.4356 1.3495 7.4270
Ga 2.0567 3.7284 4.4446
Ga -1.3495 4.4356 7.4270
Ga 0.0000 0.0000 7.4270
Ga 0.0000 0.0000 0.0000
Ga 7.1345 1.3495 0.0000
Ga 0.0000 0.0000 3.7135
```

For the energy of formation from the pure elements, the calculation gives -541 meV/atom. The volume is 24.9 Å³ per atom. The value obtained for the total energy is -4.50 eV per atom.



[5]
Density functional theory data (PBE) for a geometry-optimized SnSeS structure.

Structure (extended XYZ):
```
3
Lattice="1.8972 -3.2861 0.0000 1.8972 3.2861 0.0000 0.0000 0.0000 6.4319" Properties=species:S:1:pos:R:3 pbc="T T T"
S 1.8972 -1.0954 1.5123
Se 0.0000 0.0000 4.8689
Sn 1.8972 1.0954 0.0506
```

For the energy of formation from the pure elements, the calculation gives -509 meV/atom. The volume is 26.7 Å³ per atom. The value obtained for the total energy is -4.22 eV per atom.



[6]
Density functional theory data (PBE) for a geometry-optimized CaZrS3O12 structure.

Structure (extended XYZ):
```
102
Lattice="-8.7826 -2.3051 0.8779 6.4925 -5.3319 3.5550 -1.1396 11.9745 20.0409" Properties=species:S:1:pos:R:3 pbc="T T T"
O 4.5185 -3.1491 7.5565
O 2.6544 1.6237 11.9300
O -3.3736 -5.3638 5.5178
O -1.3329 5.8428 20.0248
O -8.0489 3.9951 13.2903
O -5.9486 6.6017 15.9013
O -5.8144 -0.8382 6.7240
O 2.2324 4.9325 17.8582
O 2.5757 0.7319 9.6706
O -5.1674 -2.1011 1.8362
O 1.2309 0.2356 6.9774
O 1.1338 7.4354 19.2135
O -0.9477 6.8592 14.8960
O -1.7975 -3.8617 7.6231
O -0.8220 -0.2449 2.6044
O -3.5781 4.4528 11.6408
O 2.5144 -2.0143 8.3947
O -2.8399 0.9131 15.4280
O -7.7356 0.3235 7.5727
O 1.4429 4.8417 20.7808
O -3.8790 -4.4378 3.3056
O -3.0237 3.3061 15.1453
O 4.2563 3.8640 16.9815
O 2.0311 1.3812 14.9309
O -2.1362 -2.2507 2.0979
O -0.0972 -2.3902 3.4331
O -1.4154 6.6923 22.3004
O 0.6214 8.8126 21.1493
O -4.8928 0.4325 11.0550
O 4.6147 0.5924 11.0057
O -6.2783 7.0896 20.6288
O -0.4555 0.8815 9.4088
O 0.2785 -0.2181 12.8954
O 0.9304 -5.0444 5.0774
O 0.8019 1.1817 4.7576
O -2.0574 -1.3589 4.3573
O -3.2689 1.8591 13.2081
O -4.4333 -3.2007 5.3227
O 0.2505 9.6957 18.9486
O -0.8503 3.2700 9.0951
O -2.6807 -1.6013 7.3582
O -4.0904 5.8300 13.5766
O -3.3370 6.9776 20.8630
O -1.1026 2.1444 14.2967
O -2.7585 4.7940 21.7063
O -4.6206 9.2275 19.4457
O -0.4268 -1.9022 8.1605
O 3.1170 -2.8849 3.9114
O -2.3098 -2.4844 9.5589
O -0.3295 2.4263 11.2808
O -2.4795 1.9499 10.2855
O -6.1273 3.7098 14.7277
O -7.9088 7.6331 16.8256
O -0.9538 -2.2074 12.3620
O -4.4003 3.1037 19.7314
O -6.0448 2.8602 12.4521
O -2.7344 6.1070 16.3797
O -0.4424 5.9332 17.1082
O -0.1809 3.4151 18.6276
O -1.5021 8.0963 16.9131
O -2.0565 3.0323 6.2771
O -2.2075 6.4122 12.1782
O -4.9210 3.9474 17.5457
O 1.3123 4.1165 13.2557
O -1.4951 1.4093 18.1212
O -3.3995 1.1339 5.6830
O -5.0413 -0.5563 3.7082
O 0.8329 -1.4552 10.8783
O 3.6093 5.1270 21.8694
O -7.1914 -1.0327 2.7129
O 1.6881 6.2886 22.7180
O -5.1542 2.9507 9.5355
Ca 1.3741 -4.0430 3.1312
Ca -0.9763 10.2587 17.1693
Ca -4.4773 4.9489 15.5994
Ca 0.8044 1.9442 13.1516
Ca -3.9075 -1.0383 5.5789
Ca -0.4065 4.2714 7.1488
S -5.7062 -0.8156 2.4508
S 0.3318 -1.5409 12.3144
S -1.2735 -1.5880 3.1644
S 1.5375 1.4206 6.0700
S -1.8490 -2.4482 8.1891
S -2.5333 2.0980 14.5206
S 1.0822 8.8488 19.7794
S 3.7175 5.1496 17.5962
S -3.6296 5.8662 12.2068
S -1.4488 6.7736 16.3320
S -0.6324 2.0720 19.1877
S -2.1943 6.0529 21.2637
S -4.3800 -4.5234 4.7417
S -0.9944 2.1670 10.0235
S -6.9061 3.0704 13.6910
S 2.1785 5.0806 22.0933
S 3.6571 -2.9390 8.7954
S 3.4384 1.3945 10.7371
Zr -0.7354 7.7272 12.9325
Zr -4.8061 8.4046 21.3831
Zr 0.4755 5.4000 18.9353
Zr -4.2364 2.4174 11.3626
Zr 1.0453 -0.5873 8.9149
Zr -0.1656 1.7400 2.9121
```

For the energy of formation from the pure elements, the calculation gives -2482 meV/atom. The volume is 16.5 Å³ per atom. The value obtained for the total energy is -6.84 eV per atom.